1.
The following is a DFT calculation (PBE) of a relaxed structure of FeRe3.

- Uncorrected energy: -11.44 eV/atom
- Calculated density: 18.2 g/cm3

Unit cell a=5.446 b=5.446 c=4.371 alpha=90.00 beta=90.00 gamma=120.00
Element x y z (fractional)
Re 0.832 0.168 0.750
Re 0.832 0.665 0.750
Re 0.665 0.832 0.250
Re 0.168 0.335 0.250
Re 0.335 0.168 0.750
Re 0.168 0.832 0.250
Fe 0.333 0.667 0.750
Fe 0.667 0.333 0.250


2.
The following is a DFT calculation (PBE) of a relaxed structure of Fe2Re3.

- Uncorrected energy: -10.87 eV/atom
- Calculated density: 16.9 g/cm3

Unit cell a=6.413 b=6.413 c=6.413 alpha=90.00 beta=90.00 gamma=90.00
Element x y z (fractional)
Fe 0.811 0.311 0.189
Fe 0.189 0.811 0.311
Fe 0.939 0.561 0.439
Fe 0.689 0.689 0.689
Fe 0.061 0.061 0.061
Fe 0.311 0.189 0.811
Fe 0.561 0.439 0.939
Fe 0.439 0.939 0.561
Re 0.949 0.375 0.801
Re 0.449 0.125 0.199
Re 0.875 0.699 0.051
Re 0.801 0.949 0.375
Re 0.625 0.301 0.551
Re 0.199 0.449 0.125
Re 0.125 0.199 0.449
Re 0.551 0.625 0.301
Re 0.301 0.551 0.625
Re 0.051 0.875 0.699
Re 0.375 0.801 0.949
Re 0.699 0.051 0.875


3.
The following is a DFT calculation (PBE) of a relaxed structure of TbFe10Re2.

- Uncorrected energy: -8.82 eV/atom
- Calculated density: 10.5 g/cm3

Unit cell a=4.693 b=6.486 c=6.486 alpha=96.51 beta=111.21 gamma=68.79
Element x y z (fractional)
Fe 0.500 0.500 0.000
Fe 0.500 0.229 0.229
Fe 0.721 0.779 0.221
Fe 0.500 0.000 0.500
Fe 0.000 0.500 0.000
Fe 0.359 0.641 0.359
Fe 0.641 0.359 0.641
Fe 0.279 0.221 0.779
Fe 0.500 0.771 0.771
Fe 0.000 0.000 0.500
Re 0.000 0.643 0.643
Re 0.000 0.357 0.357
Tb 0.000 0.000 0.000